VASP calculation (r²SCAN) on a relaxed structure of Sm2S2O.

Unit cell a=8.445 b=7.074 c=7.000 alpha=90.00 beta=98.99 gamma=90.00
Space group P2_1/c (No. 14)
One atom of each set of equivalent atoms:
Sm (0.079, 0.138, 0.317)
Sm (0.362, 0.555, 0.249)
S (0.178, 0.641, 0.568)
S (0.422, 0.224, 0.471)
O (0.117, 0.087, 0.649)

Properties
Total magnetization ... 0.00 Bohr magnetons per cell
V ... 413.0 Å³ per cell
E_tot ... -19.22 eV per atom
Energy relative to the elements ... -2.9144 eV per atom